# 1
Material: P
Method: DFT, PBE
State: relaxed

Cell and atoms, written as POSCAR:
```
P
1.0
1.744 1.007 3.104
-1.744 1.007 3.104
0.000 -2.014 3.104
P
2
direct
0.228 0.228 0.228 P
0.772 0.772 0.772 P
```

Values from the calculation:
As for the symmetry: R-3m, No. 166. For the total energy, the calculation gives -5.3277 eV/atom. The calculated formation energy is 8.3 kJ/mol of atoms. As for the excess energy over the best structure of this formula in the dataset: 86 meV/atom.

# 2
Material: LiS
Method: DFT, PBE
State: relaxed

Cell and atoms, written as POSCAR:
```
LiS
1.0
0.000 2.512 2.512
2.512 0.000 2.512
2.512 2.512 0.000
Li S
1 1
direct
0.000 0.000 0.000 Li
0.500 0.500 0.500 S
```

Values from the calculation:
As for the symmetry: Fm-3m, No. 225. For the total energy, the calculation gives -3.5265 eV/atom. The calculated formation energy is -72.9 kJ/mol of atoms. As for the excess energy over the best structure of this formula in the dataset: 218 meV/atom.

# 3
Material: Rb4MgTi2Cu4S8
Method: DFT, PBE
State: relaxed

Cell and atoms, written as POSCAR:
```
Rb4MgTi2Cu4S8
1.0
4.007 -4.009 0.000
4.007 4.009 0.000
-0.020 0.000 13.690
Rb Mg Ti Cu S
4 1 2 4 8
direct
0.000 0.000 0.000 Rb
0.001 0.513 0.482 Rb
0.511 0.511 0.002 Rb
0.513 0.001 0.482 Rb
0.748 0.748 0.741 Mg
0.257 0.257 0.242 Ti
0.262 0.262 0.743 Ti
0.251 0.757 0.744 Cu
0.257 0.757 0.241 Cu
0.757 0.251 0.744 Cu
0.757 0.257 0.241 Cu
0.000 0.498 0.844 S
0.008 0.008 0.644 S
0.019 0.494 0.148 S
0.020 0.020 0.335 S
0.494 0.019 0.148 S
0.495 0.495 0.335 S
0.498 0.000 0.844 S
0.502 0.502 0.636 S
```

Values from the calculation:
As for the symmetry: Cm, No. 8. For the total energy, the calculation gives -4.6859 eV/atom. The calculated formation energy is -113.0 kJ/mol of atoms. As for the excess energy over the best structure of this formula in the dataset: 0 meV/atom.

# 4
Material: AcTlAu2
Method: DFT, PBE
State: relaxed

Cell and atoms, written as POSCAR:
```
AcTlAu2
1.0
0.000 3.756 3.756
3.756 0.000 3.756
3.756 3.756 0.000
Ac Tl Au
1 1 2
direct
0.000 0.000 0.000 Ac
0.500 0.500 0.500 Tl
0.250 0.250 0.250 Au
0.750 0.750 0.750 Au
```

Values from the calculation:
As for the symmetry: Fm-3m, No. 225. For the total energy, the calculation gives -3.8538 eV/atom. The calculated formation energy is -57.5 kJ/mol of atoms.

# 5
Material: YMnAl
Method: DFT, PBE
State: relaxed

Cell and atoms, written as POSCAR:
```
YMnAl
1.0
-2.749 2.771 3.822
2.749 -2.771 3.822
2.749 2.771 -3.822
Y Mn Al
2 2 2
direct
0.371 0.121 0.250 Y
0.629 0.879 0.750 Y
0.000 0.000 0.500 Mn
0.000 0.500 0.000 Mn
0.000 0.500 0.500 Al
0.500 0.500 0.000 Al
```

Values from the calculation:
As for the symmetry: Imma, No. 74. For the total energy, the calculation gives -6.6970 eV/atom. The calculated formation energy is -23.1 kJ/mol of atoms.

# 6
Material: Li2SbP5O15
Method: DFT, PBE
State: relaxed

Cell and atoms, written as POSCAR:
```
Li2SbP5O15
1.0
5.483 0.000 0.000
0.000 14.084 0.000
-1.867 0.000 8.846
Li Sb P O
4 2 10 30
direct
0.061 0.142 0.071 Li
0.061 0.358 0.071 Li
0.939 0.642 0.929 Li
0.939 0.858 0.929 Li
0.500 0.000 0.500 Sb
0.500 0.500 0.500 Sb
0.007 0.146 0.520 P
0.007 0.354 0.520 P
0.325 0.083 0.822 P
0.325 0.417 0.822 P
0.457 0.750 0.994 P
0.543 0.250 0.006 P
0.675 0.583 0.178 P
0.675 0.917 0.178 P
0.993 0.646 0.480 P
0.993 0.854 0.480 P
0.062 0.250 0.463 O
0.126 0.078 0.425 O
0.126 0.422 0.425 O
0.157 0.149 0.691 O
0.157 0.351 0.691 O
0.173 0.054 0.932 O
0.173 0.446 0.932 O
0.195 0.750 0.900 O
0.267 0.635 0.483 O
0.267 0.865 0.483 O
0.313 0.250 0.073 O
0.455 0.009 0.745 O
0.455 0.491 0.745 O
0.463 0.660 0.107 O
0.463 0.840 0.107 O
0.537 0.160 0.893 O
0.537 0.340 0.893 O
0.545 0.509 0.255 O
0.545 0.991 0.255 O
0.687 0.750 0.927 O
0.733 0.135 0.517 O
0.733 0.365 0.517 O
0.805 0.250 0.100 O
0.827 0.554 0.068 O
0.827 0.946 0.068 O
0.843 0.649 0.309 O
0.843 0.851 0.309 O
0.874 0.578 0.575 O
0.874 0.922 0.575 O
0.938 0.750 0.537 O
```

Values from the calculation:
As for the symmetry: P2_1/m, No. 11. For the total energy, the calculation gives -6.8237 eV/atom. The calculated formation energy is -243.4 kJ/mol of atoms.

# 7
Material: Ca2Bi7
Method: DFT, PBE
State: relaxed

Cell and atoms, written as POSCAR:
```
Ca2Bi7
1.0
3.082 -5.321 0.000
3.082 5.321 0.000
-2.168 0.000 8.820
Ca Bi
2 7
direct
0.166 0.834 0.000 Ca
0.834 0.166 0.000 Ca
0.054 0.394 0.678 Bi
0.264 0.264 0.307 Bi
0.394 0.054 0.678 Bi
0.500 0.500 0.000 Bi
0.606 0.946 0.322 Bi
0.736 0.736 0.693 Bi
0.946 0.606 0.322 Bi
```

Values from the calculation:
As for the symmetry: C2/m, No. 12. For the total energy, the calculation gives -3.6244 eV/atom. The calculated formation energy is -14.8 kJ/mol of atoms.

# 8
Material: Pb
Method: DFT, PBE
State: relaxed

Cell and atoms, written as POSCAR:
```
Pb
1.0
1.821 1.051 6.062
-1.821 1.051 6.062
0.000 -2.103 6.062
Pb
2
direct
0.098 0.098 0.098 Pb
0.902 0.902 0.902 Pb
```

Values from the calculation:
As for the symmetry: R-3m, No. 166. For the total energy, the calculation gives -3.6059 eV/atom. The calculated formation energy is 10.3 kJ/mol of atoms. As for the excess energy over the best structure of this formula in the dataset: 107 meV/atom.

# 9
Material: Na3YTa3Si3P3O24
Method: DFT, PBE
State: relaxed

Cell and atoms, written as POSCAR:
```
Na3YTa3Si3P3O24
1.0
8.961 0.000 0.000
4.464 7.782 0.000
0.023 -0.012 22.968
Na Y Ta Si P O
9 3 9 9 9 72
direct
0.000 0.000 0.000 Na
0.007 0.993 0.496 Na
0.301 0.667 0.081 Na
0.331 0.332 0.163 Na
0.341 0.324 0.664 Na
0.367 0.995 0.246 Na
0.640 0.352 0.248 Na
0.671 0.657 0.830 Na
0.682 0.654 0.332 Na
0.003 0.993 0.138 Y
0.337 0.336 0.317 Y
0.344 0.327 0.808 Y
0.008 0.993 0.638 Ta
0.011 0.988 0.351 Ta
0.011 0.989 0.851 Ta
0.340 0.326 0.016 Ta
0.348 0.323 0.518 Ta
0.674 0.656 0.479 Ta
0.674 0.658 0.975 Ta
0.675 0.657 0.682 Ta
0.676 0.659 0.180 Ta
0.305 0.696 0.243 Si
0.344 0.618 0.912 Si
0.387 0.657 0.580 Si
0.393 0.951 0.077 Si
0.642 0.325 0.413 Si
0.672 0.371 0.076 Si
0.673 0.945 0.580 Si
0.965 0.372 0.580 Si
0.965 0.650 0.076 Si
0.000 0.713 0.744 P
0.004 0.285 0.247 P
0.043 0.622 0.415 P
0.048 0.325 0.912 P
0.295 0.984 0.744 P
0.343 0.027 0.413 P
0.635 0.032 0.912 P
0.720 0.983 0.247 P
0.730 0.278 0.744 P
0.000 0.808 0.077 O
0.015 0.810 0.690 O
0.029 0.160 0.904 O
0.031 0.803 0.407 O
0.032 0.179 0.193 O
0.103 0.523 0.360 O
0.120 0.357 0.858 O
0.155 0.350 0.568 O
0.155 0.473 0.070 O
0.158 0.536 0.745 O
0.164 0.302 0.254 O
0.166 0.528 0.467 O
0.167 0.812 0.903 O
0.169 0.293 0.966 O
0.177 0.010 0.407 O
0.184 0.998 0.690 O
0.197 0.826 0.589 O
0.200 0.828 0.301 O
0.203 0.965 0.799 O
0.205 0.777 0.185 O
0.213 0.958 0.078 O
0.312 0.524 0.970 O
0.314 0.142 0.745 O
0.314 0.152 0.465 O
0.346 0.500 0.248 O
0.366 0.487 0.569 O
0.375 0.090 0.356 O
0.380 0.508 0.855 O
0.381 0.137 0.069 O
0.475 0.816 0.739 O
0.478 0.689 0.524 O
0.490 0.369 0.070 O
0.496 0.827 0.023 O
0.497 0.690 0.242 O
0.500 0.847 0.425 O
0.503 0.136 0.569 O
0.505 0.653 0.922 O
0.510 0.858 0.138 O
0.511 0.627 0.637 O
0.530 0.099 0.858 O
0.533 0.300 0.467 O
0.535 0.133 0.255 O
0.544 0.151 0.966 O
0.544 0.362 0.352 O
0.553 0.294 0.744 O
0.640 0.493 0.137 O
0.645 0.852 0.637 O
0.666 0.492 0.425 O
0.669 0.847 0.923 O
0.684 0.478 0.022 O
0.705 0.825 0.523 O
0.711 0.815 0.242 O
0.717 0.458 0.738 O
0.790 0.025 0.194 O
0.817 0.018 0.904 O
0.828 0.166 0.690 O
0.832 0.701 0.739 O
0.833 0.148 0.406 O
0.834 0.462 0.242 O
0.836 0.187 0.076 O
0.837 0.965 0.302 O
0.839 0.188 0.799 O
0.841 0.463 0.524 O
0.841 0.970 0.589 O
0.848 0.669 0.021 O
0.859 0.653 0.426 O
0.866 0.479 0.923 O
0.870 0.494 0.637 O
0.871 0.627 0.136 O
0.977 0.191 0.301 O
0.981 0.824 0.799 O
0.985 0.181 0.589 O
```

Values from the calculation:
As for the symmetry: P1, No. 1. For the total energy, the calculation gives -7.9913 eV/atom. The calculated formation energy is -299.6 kJ/mol of atoms.

# 10
Material: Li2GeF6
Method: DFT, PBE
State: relaxed

Cell and atoms, written as POSCAR:
```
Li2GeF6
1.0
4.665 0.000 0.000
0.000 4.665 0.000
0.000 0.000 8.967
Li Ge F
4 2 12
direct
0.000 0.000 0.162 Li
0.000 0.000 0.838 Li
0.500 0.500 0.338 Li
0.500 0.500 0.662 Li
0.000 0.000 0.500 Ge
0.500 0.500 0.000 Ge
0.189 0.189 0.350 F
0.189 0.189 0.650 F
0.221 0.221 0.000 F
0.279 0.721 0.500 F
0.311 0.689 0.150 F
0.311 0.689 0.850 F
0.689 0.311 0.150 F
0.689 0.311 0.850 F
0.721 0.279 0.500 F
0.779 0.779 0.000 F
0.811 0.811 0.350 F
0.811 0.811 0.650 F
```

Values from the calculation:
As for the symmetry: P4_2/mnm, No. 136. For the total energy, the calculation gives -4.9223 eV/atom. The calculated formation energy is -291.0 kJ/mol of atoms.

# 11
Material: CsNa5W2N6
Method: DFT, PBE
State: relaxed

Cell and atoms, written as POSCAR:
```
CsNa5W2N6
1.0
9.481 0.000 0.000
0.000 10.338 0.000
-0.031 0.000 19.693
Cs Na W N
8 40 16 48
direct
0.116 0.234 0.081 Cs
0.116 0.266 0.581 Cs
0.373 0.739 0.959 Cs
0.373 0.761 0.459 Cs
0.627 0.239 0.541 Cs
0.627 0.261 0.041 Cs
0.884 0.734 0.419 Cs
0.884 0.766 0.919 Cs
0.120 0.006 0.438 Na
0.120 0.164 0.786 Na
0.120 0.336 0.286 Na
0.120 0.494 0.938 Na
0.125 0.003 0.936 Na
0.125 0.497 0.436 Na
0.128 0.010 0.205 Na
0.128 0.490 0.705 Na
0.133 0.513 0.173 Na
0.133 0.987 0.673 Na
0.370 0.008 0.560 Na
0.370 0.492 0.060 Na
0.374 0.020 0.052 Na
0.374 0.480 0.552 Na
0.375 0.507 0.318 Na
0.375 0.993 0.818 Na
0.379 0.666 0.660 Na
0.379 0.834 0.160 Na
0.390 0.507 0.819 Na
0.390 0.993 0.319 Na
0.610 0.007 0.681 Na
0.610 0.493 0.181 Na
0.621 0.166 0.840 Na
0.621 0.334 0.340 Na
0.625 0.007 0.182 Na
0.625 0.493 0.682 Na
0.626 0.520 0.448 Na
0.626 0.980 0.948 Na
0.630 0.508 0.940 Na
0.630 0.992 0.440 Na
0.867 0.013 0.327 Na
0.867 0.487 0.827 Na
0.872 0.510 0.295 Na
0.872 0.990 0.795 Na
0.875 0.503 0.564 Na
0.875 0.997 0.064 Na
0.880 0.506 0.062 Na
0.880 0.664 0.714 Na
0.880 0.836 0.214 Na
0.880 0.994 0.562 Na
0.078 0.744 0.589 W
0.078 0.756 0.089 W
0.174 0.742 0.281 W
0.174 0.758 0.781 W
0.327 0.244 0.405 W
0.327 0.256 0.905 W
0.421 0.238 0.214 W
0.421 0.262 0.714 W
0.579 0.738 0.286 W
0.579 0.762 0.786 W
0.673 0.744 0.095 W
0.673 0.756 0.595 W
0.826 0.242 0.219 W
0.826 0.258 0.719 W
0.922 0.244 0.911 W
0.922 0.256 0.411 W
0.086 0.623 0.824 N
0.086 0.877 0.324 N
0.116 0.582 0.314 N
0.116 0.918 0.814 N
0.125 0.238 0.916 N
0.125 0.262 0.416 N
0.131 0.741 0.685 N
0.131 0.759 0.185 N
0.139 0.604 0.050 N
0.139 0.896 0.550 N
0.154 0.604 0.545 N
0.154 0.896 0.045 N
0.338 0.127 0.668 N
0.338 0.373 0.168 N
0.366 0.250 0.308 N
0.366 0.250 0.808 N
0.368 0.079 0.178 N
0.368 0.421 0.678 N
0.377 0.744 0.790 N
0.377 0.756 0.290 N
0.389 0.090 0.441 N
0.389 0.410 0.941 N
0.419 0.116 0.942 N
0.419 0.384 0.442 N
0.581 0.616 0.558 N
0.581 0.884 0.058 N
0.611 0.590 0.059 N
0.611 0.910 0.559 N
0.623 0.244 0.710 N
0.623 0.256 0.210 N
0.632 0.579 0.322 N
0.632 0.921 0.822 N
0.634 0.750 0.192 N
0.634 0.750 0.692 N
0.662 0.627 0.832 N
0.662 0.873 0.332 N
0.846 0.104 0.955 N
0.846 0.396 0.455 N
0.861 0.104 0.450 N
0.861 0.396 0.950 N
0.869 0.241 0.815 N
0.869 0.259 0.315 N
0.875 0.738 0.584 N
0.875 0.762 0.084 N
0.884 0.082 0.186 N
0.884 0.418 0.686 N
0.914 0.123 0.676 N
0.914 0.377 0.176 N
```

Values from the calculation:
As for the symmetry: P2_1/c, No. 14. For the total energy, the calculation gives -6.4092 eV/atom. The calculated formation energy is -58.3 kJ/mol of atoms.

# 12
Material: LaRe2W
Method: DFT, PBE
State: relaxed

Cell and atoms, written as POSCAR:
```
LaRe2W
1.0
0.000 3.303 3.303
3.303 0.000 3.303
3.303 3.303 0.000
La Re W
1 2 1
direct
0.000 0.000 0.000 La
0.250 0.250 0.250 Re
0.500 0.500 0.500 Re
0.750 0.750 0.750 W
```

Values from the calculation:
As for the symmetry: F-43m, No. 216. For the total energy, the calculation gives -10.0771 eV/atom. The calculated formation energy is 59.7 kJ/mol of atoms.